Record 1
The following is a GGA-PBE calculation of crystalline HfPbO3 at its relaxed geometry, from Materials Project.

Values from the calculation:
- Volume: 615.1 Å³ per cell
- Energy of formation from the pure elements: -2.72 eV/atom
- Crystal system: orthorhombic

Cell: 5.820 11.475 9.210 Å, 90.00 90.00 90.00°
Atoms (fractional coordinates):
1 Hf 0.246 0.123 0.217
2 Hf 0.246 0.123 0.783
3 Hf 0.254 0.623 0.217
4 Hf 0.254 0.623 0.783
5 Hf 0.746 0.377 0.217
6 Hf 0.746 0.377 0.783
7 Hf 0.754 0.877 0.217
8 Hf 0.754 0.877 0.783
9 Pb 0.243 0.364 0.000
10 Pb 0.250 0.391 0.500
11 Pb 0.250 0.891 0.500
12 Pb 0.257 0.864 0.000
13 Pb 0.743 0.136 0.000
14 Pb 0.750 0.109 0.500
15 Pb 0.750 0.609 0.500
16 Pb 0.757 0.636 0.000
17 O 0.000 0.000 0.266
18 O 0.000 0.000 0.734
19 O 0.000 0.500 0.252
20 O 0.000 0.500 0.748
21 O 0.002 0.749 0.500
22 O 0.010 0.752 0.179
23 O 0.010 0.752 0.821
24 O 0.238 0.094 0.000
25 O 0.262 0.594 0.000
26 O 0.490 0.252 0.179
27 O 0.490 0.252 0.821
28 O 0.498 0.249 0.500
29 O 0.500 0.000 0.252
30 O 0.500 0.000 0.748
31 O 0.500 0.500 0.266
32 O 0.500 0.500 0.734
33 O 0.502 0.751 0.500
34 O 0.510 0.748 0.179
35 O 0.510 0.748 0.821
36 O 0.738 0.406 0.000
37 O 0.762 0.906 0.000
38 O 0.990 0.248 0.179
39 O 0.990 0.248 0.821
40 O 0.998 0.251 0.500



Record 2
The following is a GGA-PBE calculation of crystalline HfPbO3 at its relaxed geometry, from Materials Project.

Values from the calculation:
- Volume: 572.8 Å³ per cell
- Energy of formation from the pure elements: -2.99 eV/atom
- Crystal system: orthorhombic

Cell: 5.897 11.785 8.242 Å, 90.00 90.00 90.00°
Atoms (fractional coordinates):
1 Hf 0.243 0.124 0.250
2 Hf 0.243 0.124 0.750
3 Hf 0.257 0.624 0.250
4 Hf 0.257 0.624 0.750
5 Hf 0.743 0.376 0.250
6 Hf 0.743 0.376 0.750
7 Hf 0.757 0.876 0.250
8 Hf 0.757 0.876 0.750
9 Pb 0.205 0.375 0.000
10 Pb 0.210 0.370 0.500
11 Pb 0.290 0.870 0.500
12 Pb 0.295 0.875 0.000
13 Pb 0.705 0.125 0.000
14 Pb 0.710 0.130 0.500
15 Pb 0.790 0.630 0.500
16 Pb 0.795 0.625 0.000
17 O 0.000 0.000 0.230
18 O 0.000 0.000 0.770
19 O 0.000 0.500 0.209
20 O 0.000 0.500 0.791
21 O 0.025 0.259 0.278
22 O 0.025 0.259 0.722
23 O 0.210 0.598 0.500
24 O 0.231 0.654 0.000
25 O 0.269 0.154 0.000
26 O 0.290 0.098 0.500
27 O 0.475 0.759 0.278
28 O 0.475 0.759 0.722
29 O 0.500 0.000 0.209
30 O 0.500 0.000 0.791
31 O 0.500 0.500 0.230
32 O 0.500 0.500 0.770
33 O 0.525 0.241 0.278
34 O 0.525 0.241 0.722
35 O 0.710 0.902 0.500
36 O 0.731 0.846 0.000
37 O 0.769 0.346 0.000
38 O 0.790 0.402 0.500
39 O 0.975 0.741 0.278
40 O 0.975 0.741 0.722



Record 3
The following is a GGA-PBE calculation of crystalline Hf6PbO18 at its relaxed geometry, from Materials Project.

Values from the calculation:
- Volume: 426.1 Å³ per cell
- Energy of formation from the pure elements: -2.64 eV/atom
- Crystal system: monoclinic

Cell: 7.192 7.192 9.230 Å, 105.09 105.09 70.34°
Atoms (fractional coordinates):
1 Hf 0.000 0.500 0.000
2 Hf 0.161 0.670 0.662
3 Hf 0.330 0.839 0.338
4 Hf 0.500 0.000 0.000
5 Hf 0.670 0.161 0.662
6 Hf 0.839 0.330 0.338
7 Pb 0.500 0.500 0.000
8 O 0.000 0.500 0.500
9 O 0.083 0.083 0.333
10 O 0.102 0.579 0.841
11 O 0.181 0.660 0.159
12 O 0.251 0.749 0.500
13 O 0.260 0.260 0.000
14 O 0.340 0.819 0.841
15 O 0.420 0.420 0.683
16 O 0.421 0.898 0.159
17 O 0.500 0.000 0.500
18 O 0.579 0.102 0.841
19 O 0.580 0.580 0.317
20 O 0.660 0.181 0.159
21 O 0.740 0.740 0.000
22 O 0.749 0.251 0.500
23 O 0.819 0.340 0.841
24 O 0.898 0.421 0.159
25 O 0.917 0.917 0.667



Record 4
The following is a GGA-PBE calculation of crystalline HfPbO3 at its relaxed geometry, from Materials Project.

Values from the calculation:
- Volume: 280.7 Å³ per cell
- Energy of formation from the pure elements: -2.99 eV/atom
- Crystal system: orthorhombic

Cell: 5.837 8.279 5.810 Å, 90.00 90.00 90.00°
Atoms (fractional coordinates):
1 Hf 0.000 0.000 0.000
2 Hf 0.000 0.500 0.000
3 Hf 0.500 0.000 0.500
4 Hf 0.500 0.500 0.500
5 Pb 0.018 0.250 0.499
6 Pb 0.482 0.750 0.999
7 Pb 0.518 0.250 0.001
8 Pb 0.982 0.750 0.501
9 O 0.009 0.750 0.060
10 O 0.213 0.530 0.713
11 O 0.213 0.970 0.713
12 O 0.287 0.030 0.213
13 O 0.287 0.470 0.213
14 O 0.491 0.250 0.560
15 O 0.509 0.750 0.440
16 O 0.713 0.530 0.787
17 O 0.713 0.970 0.787
18 O 0.787 0.030 0.287
19 O 0.787 0.470 0.287
20 O 0.991 0.250 0.940